DFT (PBE) results for Li7Sb2S2 after structural relaxation.

Unit cell a=5.630 b=8.685 c=8.764 alpha=80.55 beta=85.41 gamma=84.89
Space group P-1 (No. 2)
One atom of each set of equivalent atoms:
Li: 0.008 0.453 0.345 (multiplicity 2)
Li: 0.014 0.678 0.937 (multiplicity 2)
Li: 0.154 0.225 0.674 (multiplicity 2)
Li: 0.261 0.884 0.533 (multiplicity 2)
Li: 0.417 0.760 0.185 (multiplicity 2)
Li: 0.468 0.367 0.090 (multiplicity 2)
Li: 0.490 0.565 0.626 (multiplicity 2)
Sb: 0.266 0.163 0.323 (multiplicity 2)
Sb: 0.350 0.952 0.886 (multiplicity 2)
S: 0.219 0.652 0.421 (multiplicity 2)
S: 0.263 0.446 0.857 (multiplicity 2)

Properties
Total magnetization   0.00 μB/atom
DFT total energy   -3.60 eV per atom